## SrLiTiF6 (GGA-PBE)

Data for a relaxed structure of SrLiTiF6.

Lattice parameters (Å, degrees): 5.3301 5.3301 10.5337 90.00 90.00 120.00
Closest atoms and distances in Å follow each position.
Element x y z (fractional)
Sr (0.0000, 0.0000, 0.5000)  6 F 2.46
Sr (0.0000, 0.0000, 0.0000)  6 F 2.46
Li (0.3333, 0.6667, 0.7500)  6 F 2.08
Li (0.6667, 0.3333, 0.2500)  6 F 2.08
Ti (0.6667, 0.3333, 0.7500)  6 F 1.99
Ti (0.3333, 0.6667, 0.2500)  6 F 1.99
F (0.6428, 0.0124, 0.6437)  1 Ti 1.99, 1 Li 2.08
F (0.3572, 0.9876, 0.3563)  1 Ti 1.99, 1 Li 2.08
F (0.9876, 0.6304, 0.6437)  1 Ti 1.99, 1 Li 2.08
F (0.6428, 0.6304, 0.8563)  1 Ti 1.99, 1 Li 2.08
F (0.0124, 0.3696, 0.3563)  1 Ti 1.99, 1 Li 2.08
F (0.3572, 0.3696, 0.1437)  1 Ti 1.99, 1 Li 2.08
F (0.3696, 0.3572, 0.6437)  1 Ti 1.99, 1 Li 2.08
F (0.9876, 0.3572, 0.8563)  1 Ti 1.99, 1 Li 2.08
F (0.6304, 0.6428, 0.3563)  1 Ti 1.99, 1 Li 2.08
F (0.0124, 0.6428, 0.1437)  1 Ti 1.99, 1 Li 2.08
F (0.3696, 0.0124, 0.8563)  1 Ti 1.99, 1 Li 2.08
F (0.6304, 0.9876, 0.1437)  1 Ti 1.99, 1 Li 2.08

Values from the calculation:
* formation enthalpy at 0 K: -3.73 eV per atom
* symmetry: No. 163